{"formula": "Sr4LiMn2Ga2O10", "functional": "PBE+U", "state": "relaxed", "lattice_angstrom": [[5.643, 0.000, 0.000], [-0.121, 5.689, 0.000], [-2.692, -2.867, 8.682]], "species": ["Sr", "Sr", "Sr", "Sr", "Li", "Mn", "Mn", "Ga", "Ga", "O", "O", "O", "O", "O", "O", "O", "O", "O", "O"], "frac_coords": [[0.098, 0.111, 0.208], [0.293, 0.418, 0.715], [0.707, 0.582, 0.285], [0.902, 0.889, 0.792], [0.500, 0.500, 0.000], [0.000, 0.500, 0.000], [0.500, 0.000, 0.000], [0.327, 0.823, 0.502], [0.673, 0.177, 0.498], [0.150, 0.603, 0.314], [0.245, 0.735, 0.987], [0.248, 0.257, 0.996], [0.301, 0.834, 0.692], [0.321, 0.150, 0.479], [0.679, 0.850, 0.521], [0.699, 0.166, 0.308], [0.752, 0.743, 0.004], [0.755, 0.265, 0.013], [0.850, 0.397, 0.686]], "energy_mp2020_ry_per_atom": -0.505, "e_tot_ev_per_atom": -6.3355, "spacegroup": "No. 2", "vol_a3_per_fu": 279, "ef_mev_per_atom": -2529}

=====

{"formula": "Li3TiCr3O8", "functional": "PBE+U", "state": "relaxed", "lattice_angstrom": [[0.004, -3.079, 5.020], [-1.714, -6.717, -7.572], [5.229, -1.532, 2.510]], "species": ["Li", "Li", "Li", "Li", "Li", "Li", "Ti", "Ti", "Cr", "Cr", "Cr", "Cr", "Cr", "Cr", "O", "O", "O", "O", "O", "O", "O", "O", "O", "O", "O", "O", "O", "O", "O", "O"], "frac_coords": [[0.750, 0.250, 0.750], [0.250, 0.750, 0.250], [0.500, 0.000, 0.500], [0.000, 0.500, 0.000], [0.500, 0.500, 0.000], [0.000, 0.000, 0.500], [0.999, 0.000, 0.000], [0.499, 0.500, 0.500], [0.999, 0.500, 0.500], [0.250, 0.751, 0.751], [0.251, 0.249, 0.249], [0.499, 0.000, 0.000], [0.750, 0.251, 0.251], [0.751, 0.749, 0.749], [0.109, 0.373, 0.158], [0.609, 0.873, 0.658], [0.393, 0.127, 0.342], [0.893, 0.627, 0.842], [0.887, 0.125, 0.351], [0.387, 0.625, 0.851], [0.613, 0.375, 0.149], [0.113, 0.875, 0.649], [0.638, 0.382, 0.600], [0.138, 0.882, 0.100], [0.144, 0.382, 0.598], [0.644, 0.882, 0.098], [0.355, 0.118, 0.900], [0.855, 0.618, 0.400], [0.860, 0.118, 0.902], [0.360, 0.618, 0.402]], "energy_mp2020_ry_per_atom": -0.593, "e_tot_ev_per_atom": -7.2974, "vol_a3_per_fu": 149, "ef_mev_per_atom": -2586}

=====

{"formula": "Sr2MgZrVO6", "functional": "PBE+U", "state": "relaxed", "lattice_angstrom": [[5.053, -2.916, 0.000], [5.053, 2.916, 0.000], [-3.377, 0.000, 5.559]], "species": ["Sr", "Sr", "Mg", "Zr", "V", "O", "O", "O", "O", "O", "O"], "frac_coords": [[0.000, 0.000, 0.000], [0.533, 0.533, 0.599], [0.179, 0.179, 0.538], [0.803, 0.803, 0.409], [0.332, 0.332, 0.997], [0.063, 0.567, 0.695], [0.064, 0.064, 0.696], [0.090, 0.571, 0.230], [0.567, 0.063, 0.695], [0.570, 0.570, 0.229], [0.571, 0.090, 0.230]], "energy_mp2020_ry_per_atom": -0.558, "e_tot_ev_per_atom": -7.0625, "spacegroup": "No. 8", "vol_a3_per_fu": 164, "ef_mev_per_atom": -2837}

=====

{"formula": "Li4Mn2FeB4O12", "functional": "PBE+U", "state": "relaxed", "lattice_angstrom": [[5.266, 0.000, 0.000], [0.000, 9.189, 0.000], [-4.755, 0.000, 9.616]], "species": ["Li", "Li", "Li", "Li", "Li", "Li", "Li", "Li", "Mn", "Mn", "Mn", "Mn", "Fe", "Fe", "B", "B", "B", "B", "B", "B", "B", "B", "O", "O", "O", "O", "O", "O", "O", "O", "O", "O", "O", "O", "O", "O", "O", "O", "O", "O", "O", "O", "O", "O", "O", "O"], "frac_coords": [[0.000, 0.088, 0.000], [0.000, 0.912, 0.500], [0.046, 0.241, 0.537], [0.046, 0.280, 0.213], [0.046, 0.720, 0.713], [0.046, 0.759, 0.037], [0.477, 0.243, 0.986], [0.477, 0.757, 0.486], [0.524, 0.443, 0.492], [0.524, 0.557, 0.992], [0.569, 0.073, 0.248], [0.569, 0.927, 0.748], [0.620, 0.265, 0.759], [0.620, 0.735, 0.259], [0.105, 0.063, 0.754], [0.105, 0.937, 0.254], [0.517, 0.091, 0.508], [0.517, 0.909, 0.008], [0.577, 0.402, 0.240], [0.577, 0.598, 0.740], [0.997, 0.427, 0.987], [0.997, 0.573, 0.487], [0.167, 0.074, 0.220], [0.167, 0.926, 0.720], [0.239, 0.412, 0.971], [0.239, 0.588, 0.471], [0.261, 0.183, 0.759], [0.261, 0.817, 0.259], [0.383, 0.406, 0.295], [0.383, 0.594, 0.795], [0.420, 0.222, 0.530], [0.420, 0.778, 0.030], [0.434, 0.040, 0.048], [0.434, 0.960, 0.548], [0.650, 0.468, 0.693], [0.650, 0.532, 0.193], [0.691, 0.275, 0.222], [0.691, 0.725, 0.722], [0.712, 0.083, 0.451], [0.712, 0.917, 0.951], [0.839, 0.302, 0.981], [0.839, 0.698, 0.481], [0.872, 0.078, 0.783], [0.872, 0.922, 0.283], [0.909, 0.436, 0.507], [0.909, 0.564, 0.007]], "energy_mp2020_ry_per_atom": -0.564, "e_tot_ev_per_atom": -7.0674, "spacegroup": "No. 7", "vol_a3_per_fu": 233, "ef_mev_per_atom": -2429}

=====

{"formula": "Li4V3P8O29", "functional": "PBE+U", "state": "relaxed", "lattice_angstrom": [[9.763, 0.000, 0.000], [-4.871, 8.475, 0.000], [-0.008, -0.045, 14.101]], "species": ["Li", "Li", "Li", "Li", "Li", "Li", "Li", "Li", "V", "V", "V", "V", "V", "V", "P", "P", "P", "P", "P", "P", "P", "P", "P", "P", "P", "P", "P", "P", "P", "P", "O", "O", "O", "O", "O", "O", "O", "O", "O", "O", "O", "O", "O", "O", "O", "O", "O", "O", "O", "O", "O", "O", "O", "O", "O", "O", "O", "O", "O", "O", "O", "O", "O", "O", "O", "O", "O", "O", "O", "O", "O", "O", "O", "O", "O", "O", "O", "O", "O", "O", "O", "O", "O", "O", "O", "O", "O", "O"], "frac_coords": [[0.000, 0.000, 0.000], [0.002, 0.585, 0.501], [0.211, 0.860, 0.947], [0.327, 0.677, 0.377], [0.335, 0.240, 0.887], [0.468, 0.810, 0.884], [0.548, 0.001, 0.496], [0.927, 0.826, 0.384], [0.229, 0.469, 0.192], [0.234, 0.338, 0.687], [0.667, 0.339, 0.186], [0.668, 0.908, 0.691], [0.795, 0.473, 0.701], [0.801, 0.909, 0.191], [0.009, 0.997, 0.783], [0.149, 0.135, 0.286], [0.150, 0.597, 0.780], [0.318, 0.219, 0.101], [0.321, 0.675, 0.596], [0.457, 0.815, 0.100], [0.465, 0.222, 0.598], [0.540, 0.130, 0.784], [0.552, 0.999, 0.280], [0.559, 0.570, 0.813], [0.572, 0.576, 0.310], [0.899, 0.238, 0.072], [0.899, 0.246, 0.573], [0.914, 0.815, 0.603], [0.928, 0.685, 0.099], [0.999, 0.588, 0.284], [0.022, 0.704, 0.198], [0.025, 0.927, 0.873], [0.027, 0.906, 0.692], [0.033, 0.710, 0.017], [0.040, 0.385, 0.116], [0.049, 0.248, 0.620], [0.143, 0.288, 0.266], [0.148, 0.571, 0.284], [0.155, 0.168, 0.775], [0.156, 0.443, 0.771], [0.225, 0.695, 0.683], [0.227, 0.108, 0.190], [0.230, 0.132, 0.373], [0.232, 0.658, 0.506], [0.238, 0.130, 0.012], [0.239, 0.702, 0.861], [0.320, 0.646, 0.113], [0.322, 0.376, 0.113], [0.323, 0.252, 0.606], [0.334, 0.527, 0.618], [0.417, 0.416, 0.769], [0.421, 0.579, 0.277], [0.441, 0.110, 0.689], [0.441, 0.909, 0.190], [0.445, 0.124, 0.868], [0.448, 0.887, 0.009], [0.473, 0.142, 0.511], [0.477, 0.908, 0.369], [0.486, 0.824, 0.598], [0.489, 0.246, 0.108], [0.554, 0.717, 0.777], [0.559, 0.556, 0.918], [0.573, 0.990, 0.780], [0.577, 0.167, 0.277], [0.577, 0.436, 0.258], [0.594, 0.585, 0.415], [0.616, 0.817, 0.116], [0.618, 0.381, 0.621], [0.700, 0.288, 0.772], [0.712, 0.006, 0.262], [0.713, 0.576, 0.767], [0.722, 0.729, 0.265], [0.747, 0.232, 0.116], [0.748, 0.094, 0.610], [0.753, 0.807, 0.624], [0.774, 0.523, 0.107], [0.851, 0.428, 0.262], [0.855, 0.000, 0.770], [0.891, 0.824, 0.103], [0.893, 0.220, 0.967], [0.893, 0.647, 0.609], [0.900, 0.394, 0.616], [0.906, 0.089, 0.115], [0.911, 0.254, 0.468], [0.975, 0.990, 0.279], [0.976, 0.560, 0.777], [0.983, 0.661, 0.374], [0.983, 0.893, 0.512]], "energy_mp2020_ry_per_atom": -0.559, "e_tot_ev_per_atom": -7.0399, "spacegroup": "No. 1", "vol_a3_per_fu": 583, "ef_mev_per_atom": -2570}

=====

{"formula": "ZnMo3O14", "functional": "PBE+U", "state": "relaxed", "lattice_angstrom": [[-1.891, 4.445, 8.190], [1.891, -4.445, 8.190], [1.891, 4.445, -8.190]], "species": ["Zn", "Mo", "Mo", "Mo", "O", "O", "O", "O", "O", "O", "O", "O", "O", "O", "O", "O", "O", "O"], "frac_coords": [[0.000, 0.000, 0.000], [0.458, 0.165, 0.293], [0.515, 0.515, 0.000], [0.872, 0.165, 0.707], [0.070, 0.249, 0.821], [0.244, 0.080, 0.164], [0.299, 0.450, 0.849], [0.327, 0.827, 0.500], [0.427, 0.249, 0.179], [0.485, 0.644, 0.842], [0.553, 0.053, 0.500], [0.601, 0.450, 0.151], [0.715, 0.215, 0.500], [0.775, 0.885, 0.890], [0.802, 0.644, 0.158], [0.916, 0.080, 0.836], [0.956, 0.456, 0.500], [0.995, 0.885, 0.110]], "energy_mp2020_ry_per_atom": -0.497, "e_tot_ev_per_atom": -5.6877, "spacegroup": "No. 44", "vol_a3_per_fu": 275, "ef_mev_per_atom": -1030}

=====

{"formula": "LiFe3P3O13", "functional": "PBE+U", "state": "relaxed", "lattice_angstrom": [[7.570, 0.000, 0.000], [0.000, 6.358, 0.000], [-1.724, 0.000, 10.359]], "species": ["Li", "Li", "Fe", "Fe", "Fe", "Fe", "Fe", "Fe", "P", "P", "P", "P", "P", "P", "O", "O", "O", "O", "O", "O", "O", "O", "O", "O", "O", "O", "O", "O", "O", "O", "O", "O", "O", "O", "O", "O", "O", "O", "O", "O"], "frac_coords": [[0.121, 0.250, 0.135], [0.879, 0.750, 0.865], [0.138, 0.250, 0.803], [0.279, 0.750, 0.445], [0.500, 0.000, 0.000], [0.500, 0.500, 0.000], [0.721, 0.250, 0.555], [0.862, 0.750, 0.197], [0.194, 0.750, 0.120], [0.232, 0.750, 0.767], [0.281, 0.250, 0.517], [0.719, 0.750, 0.483], [0.768, 0.250, 0.233], [0.806, 0.250, 0.880], [0.001, 0.750, 0.042], [0.117, 0.560, 0.793], [0.117, 0.940, 0.793], [0.151, 0.750, 0.261], [0.156, 0.250, 0.619], [0.241, 0.055, 0.431], [0.241, 0.445, 0.431], [0.282, 0.750, 0.632], [0.295, 0.546, 0.096], [0.295, 0.954, 0.096], [0.375, 0.250, 0.910], [0.408, 0.750, 0.871], [0.479, 0.250, 0.585], [0.521, 0.750, 0.415], [0.592, 0.250, 0.129], [0.625, 0.750, 0.090], [0.705, 0.046, 0.904], [0.705, 0.454, 0.904], [0.718, 0.250, 0.368], [0.759, 0.555, 0.569], [0.759, 0.945, 0.569], [0.844, 0.750, 0.381], [0.849, 0.250, 0.739], [0.883, 0.060, 0.207], [0.883, 0.440, 0.207], [0.999, 0.250, 0.958]], "energy_mp2020_ry_per_atom": -0.563, "e_tot_ev_per_atom": -6.8683, "spacegroup": "No. 11", "vol_a3_per_fu": 249, "ef_mev_per_atom": -2259}

=====

{"formula": "SrCa7Ti2Mn6O23", "functional": "PBE+U", "state": "relaxed", "lattice_angstrom": [[7.675, 0.000, 0.000], [0.000, 7.682, 0.000], [0.012, 0.000, 7.716]], "species": ["Sr", "Ca", "Ca", "Ca", "Ca", "Ca", "Ca", "Ca", "Ti", "Ti", "Mn", "Mn", "Mn", "Mn", "Mn", "Mn", "O", "O", "O", "O", "O", "O", "O", "O", "O", "O", "O", "O", "O", "O", "O", "O", "O", "O", "O", "O", "O", "O", "O"], "frac_coords": [[0.000, 0.000, 0.000], [0.006, 0.510, 0.001], [0.015, 0.515, 0.489], [0.015, 0.992, 0.491], [0.472, 0.517, 0.489], [0.475, 0.992, 0.490], [0.482, 0.509, 0.001], [0.484, 0.998, 0.001], [0.742, 0.256, 0.734], [0.742, 0.752, 0.756], [0.244, 0.256, 0.246], [0.244, 0.754, 0.749], [0.244, 0.755, 0.248], [0.245, 0.256, 0.755], [0.742, 0.256, 0.252], [0.743, 0.754, 0.248], [0.241, 0.260, 0.001], [0.244, 0.506, 0.744], [0.245, 0.506, 0.258], [0.245, 0.754, 0.500], [0.246, 0.005, 0.261], [0.247, 0.258, 0.500], [0.247, 0.752, 0.000], [0.248, 0.005, 0.740], [0.492, 0.754, 0.746], [0.493, 0.754, 0.258], [0.495, 0.257, 0.778], [0.496, 0.256, 0.219], [0.738, 0.261, 0.507], [0.739, 0.007, 0.234], [0.739, 0.013, 0.784], [0.742, 0.503, 0.220], [0.742, 0.750, 0.501], [0.742, 0.760, 0.006], [0.743, 0.499, 0.795], [0.991, 0.258, 0.770], [0.991, 0.260, 0.232], [0.993, 0.752, 0.261], [0.995, 0.755, 0.744]], "energy_mp2020_ry_per_atom": -0.578, "e_tot_ev_per_atom": -7.2087, "spacegroup": "No. 1", "vol_a3_per_fu": 455, "ef_mev_per_atom": -2735}